1) {"formula": "Sm2MgTi2Cl2O6", "functional": "PBE-GGA", "state": "optimized geometry", "crystal_system": "monoclinic", "spacegroup": "No. 12", "cell": [[5.564, -1.920, 0.000], [5.564, 1.920, 0.000], [-2.511, 0.000, 9.413]], "species": ["Sm", "Sm", "Mg", "Ti", "Ti", "Cl", "Cl", "O", "O", "O", "O", "O", "O"], "fractional_positions": [[0.233, 0.233, 0.230], [0.767, 0.767, 0.770], [0.500, 0.500, 0.000], [0.396, 0.396, 0.565], [0.604, 0.604, 0.435], [0.121, 0.121, 0.918], [0.879, 0.879, 0.082], [0.161, 0.161, 0.429], [0.377, 0.377, 0.808], [0.425, 0.425, 0.372], [0.575, 0.575, 0.628], [0.623, 0.623, 0.192], [0.839, 0.839, 0.571]]}

2) {"formula": "Sm2MgTi2Cl2O6", "functional": "PBE-GGA", "state": "optimized geometry", "crystal_system": "monoclinic", "spacegroup": "No. 8", "cell": [[4.874, -2.085, 0.000], [4.874, 2.085, 0.000], [-3.175, 0.000, 9.863]], "species": ["Sm", "Sm", "Mg", "Ti", "Ti", "Cl", "Cl", "O", "O", "O", "O", "O", "O"], "fractional_positions": [[0.000, 0.000, 0.000], [0.586, 0.586, 0.591], [0.860, 0.860, 0.402], [0.137, 0.137, 0.332], [0.426, 0.426, 0.228], [0.667, 0.667, 0.882], [0.895, 0.895, 0.690], [0.083, 0.083, 0.508], [0.200, 0.200, 0.174], [0.370, 0.370, 0.422], [0.441, 0.441, 0.048], [0.644, 0.644, 0.364], [0.923, 0.923, 0.225]]}

Most favorable structure: 2). The second most favorable one is 7.9 kJ/mol of atoms above it.

1) {"formula": "MgW2S2Cl8", "functional": "PBE-GGA", "state": "optimized geometry", "crystal_system": "triclinic", "spacegroup": "No. 1", "cell": [[7.375, 0.000, 0.000], [1.368, 7.425, 0.000], [1.066, 1.538, 7.561]], "species": ["Mg", "W", "W", "S", "S", "Cl", "Cl", "Cl", "Cl", "Cl", "Cl", "Cl", "Cl"], "fractional_positions": [[0.000, 0.000, 0.000], [0.208, 0.032, 0.387], [0.921, 0.550, 0.990], [0.390, 0.783, 0.441], [0.712, 0.787, 0.954], [0.037, 0.065, 0.665], [0.074, 0.511, 0.721], [0.182, 0.686, 0.022], [0.263, 0.125, 0.069], [0.378, 0.251, 0.407], [0.767, 0.297, 0.972], [0.911, 0.431, 0.292], [0.927, 0.946, 0.325]]}

2) {"formula": "MgW2S2Cl8", "functional": "PBE-GGA", "state": "optimized geometry", "crystal_system": "triclinic", "spacegroup": "No. 1", "cell": [[6.169, 0.000, 0.000], [-0.959, 7.876, 0.000], [-1.508, -0.403, 8.656]], "species": ["Mg", "W", "W", "S", "S", "Cl", "Cl", "Cl", "Cl", "Cl", "Cl", "Cl", "Cl"], "fractional_positions": [[0.000, 0.000, 0.000], [0.342, 0.206, 0.774], [0.659, 0.783, 0.219], [0.138, 0.965, 0.727], [0.863, 0.024, 0.273], [0.150, 0.430, 0.718], [0.275, 0.248, 0.044], [0.288, 0.792, 0.099], [0.477, 0.233, 0.547], [0.528, 0.742, 0.446], [0.713, 0.205, 0.899], [0.725, 0.751, 0.948], [0.853, 0.559, 0.266]]}

3) {"formula": "MgW2S2Cl8", "functional": "PBE-GGA", "state": "optimized geometry", "crystal_system": "triclinic", "spacegroup": "No. 1", "cell": [[6.539, 0.000, 0.000], [-1.003, 7.641, 0.000], [-0.809, -1.144, 8.165]], "species": ["Mg", "W", "W", "S", "S", "Cl", "Cl", "Cl", "Cl", "Cl", "Cl", "Cl", "Cl"], "fractional_positions": [[0.000, 0.000, 0.000], [0.076, 0.388, 0.776], [0.444, 0.819, 0.288], [0.632, 0.911, 0.510], [0.875, 0.353, 0.557], [0.046, 0.685, 0.895], [0.125, 0.713, 0.360], [0.184, 0.102, 0.772], [0.277, 0.073, 0.222], [0.401, 0.493, 0.721], [0.502, 0.534, 0.213], [0.652, 0.898, 0.069], [0.888, 0.297, 0.992]]}

Most favorable structure: 1). The second most favorable one is 0.8 kJ/mol of atoms above it.

1) {"formula": "Rb3Mn2Cl7", "functional": "PBE-GGA", "state": "optimized geometry", "crystal_system": "tetragonal", "spacegroup": "No. 139", "cell": [[-2.425, 2.425, 17.739], [2.425, -2.425, 17.739], [2.425, 2.425, -17.739]], "species": ["Rb", "Rb", "Rb", "Mn", "Mn", "Cl", "Cl", "Cl", "Cl", "Cl", "Cl", "Cl"], "fractional_positions": [[0.000, 0.000, 0.000], [0.323, 0.323, 0.000], [0.677, 0.677, 0.000], [0.124, 0.124, 0.000], [0.876, 0.876, 0.000], [0.110, 0.610, 0.500], [0.192, 0.192, 0.000], [0.390, 0.890, 0.500], [0.500, 0.500, 0.000], [0.610, 0.110, 0.500], [0.808, 0.808, 0.000], [0.890, 0.390, 0.500]]}

2) {"formula": "Rb3Mn2Cl7", "functional": "PBE-GGA", "state": "optimized geometry", "crystal_system": "tetragonal", "spacegroup": "No. 139", "cell": [[-2.550, 2.550, 13.226], [2.550, -2.550, 13.226], [2.550, 2.550, -13.226]], "species": ["Rb", "Rb", "Rb", "Mn", "Mn", "Cl", "Cl", "Cl", "Cl", "Cl", "Cl", "Cl"], "fractional_positions": [[0.000, 0.000, 0.000], [0.183, 0.183, 0.000], [0.817, 0.817, 0.000], [0.402, 0.402, 0.000], [0.598, 0.598, 0.000], [0.096, 0.596, 0.500], [0.307, 0.307, 0.000], [0.404, 0.904, 0.500], [0.500, 0.500, 0.000], [0.596, 0.096, 0.500], [0.693, 0.693, 0.000], [0.904, 0.404, 0.500]]}

Most favorable structure: 2). The second most favorable one is 10.6 kJ/mol of atoms above it.

1) {"formula": "MnTlCl3", "functional": "PBE-GGA", "state": "optimized geometry", "crystal_system": "cubic", "spacegroup": "No. 221", "cell": [[5.069, 0.000, 0.000], [0.000, 5.069, 0.000], [0.000, 0.000, 5.069]], "species": ["Mn", "Tl", "Cl", "Cl", "Cl"], "fractional_positions": [[0.000, 0.000, 0.000], [0.500, 0.500, 0.500], [0.000, 0.000, 0.500], [0.000, 0.500, 0.000], [0.500, 0.000, 0.000]]}

2) {"formula": "MnTlCl3", "functional": "PBE-GGA", "state": "optimized geometry", "crystal_system": "orthorhombic", "spacegroup": "No. 62", "cell": [[9.185, 0.000, 0.000], [0.000, 3.866, 0.000], [0.000, 0.000, 14.809]], "species": ["Mn", "Mn", "Mn", "Mn", "Tl", "Tl", "Tl", "Tl", "Cl", "Cl", "Cl", "Cl", "Cl", "Cl", "Cl", "Cl", "Cl", "Cl", "Cl", "Cl"], "fractional_positions": [[0.162, 0.250, 0.054], [0.338, 0.750, 0.554], [0.662, 0.250, 0.446], [0.838, 0.750, 0.946], [0.059, 0.750, 0.323], [0.441, 0.250, 0.823], [0.559, 0.750, 0.177], [0.941, 0.250, 0.677], [0.017, 0.250, 0.903], [0.182, 0.250, 0.495], [0.225, 0.750, 0.703], [0.275, 0.250, 0.203], [0.318, 0.750, 0.995], [0.483, 0.750, 0.403], [0.517, 0.250, 0.597], [0.682, 0.250, 0.005], [0.725, 0.750, 0.797], [0.775, 0.250, 0.297], [0.818, 0.750, 0.505], [0.983, 0.750, 0.097]]}

Most favorable structure: 2). The second most favorable one is 2.8 kJ/mol of atoms above it.

1) {"formula": "PdN2Cl2", "functional": "PBE-GGA", "state": "optimized geometry", "crystal_system": "triclinic", "spacegroup": "No. 1", "cell": [[3.694, 0.000, 0.000], [-0.297, 4.519, 0.000], [-1.325, -2.039, 7.291]], "species": ["Pd", "N", "N", "Cl", "Cl"], "fractional_positions": [[0.000, 0.000, 0.000], [0.050, 0.863, 0.214], [0.928, 0.045, 0.768], [0.088, 0.517, 0.244], [0.833, 0.270, 0.634]]}

2) {"formula": "PdN2Cl2", "functional": "PBE-GGA", "state": "optimized geometry", "crystal_system": "triclinic", "spacegroup": "No. 1", "cell": [[3.240, 0.000, 0.000], [-1.322, 3.831, 0.000], [-0.640, -1.359, 8.481]], "species": ["Pd", "N", "N", "Cl", "Cl"], "fractional_positions": [[0.000, 0.000, 0.000], [0.450, 0.939, 0.859], [0.551, 0.060, 0.140], [0.427, 0.973, 0.668], [0.674, 0.255, 0.328]]}

Most favorable structure: 2). The second most favorable one is 28.8 kJ/mol of atoms above it.

1) {"formula": "PtN2Cl2", "functional": "PBE-GGA", "state": "optimized geometry", "crystal_system": "tetragonal", "spacegroup": "No. 83", "cell": [[8.082, 0.000, 0.000], [0.000, 8.082, 0.000], [0.000, 0.000, 5.155]], "species": ["Pt", "Pt", "N", "N", "N", "N", "Cl", "Cl", "Cl", "Cl"], "fractional_positions": [[0.000, 0.000, 0.000], [0.000, 0.000, 0.500], [0.168, 0.398, 0.000], [0.398, 0.832, 0.000], [0.602, 0.168, 0.000], [0.832, 0.602, 0.000], [0.210, 0.778, 0.000], [0.222, 0.210, 0.000], [0.778, 0.790, 0.000], [0.790, 0.222, 0.000]]}

2) {"formula": "PtN2Cl2", "functional": "PBE-GGA", "state": "optimized geometry", "crystal_system": "triclinic", "spacegroup": "No. 2", "cell": [[5.782, 0.000, 0.000], [-0.094, 6.628, 0.000], [-0.253, -2.324, 6.750]], "species": ["Pt", "Pt", "N", "N", "N", "N", "Cl", "Cl", "Cl", "Cl"], "fractional_positions": [[0.021, 0.011, 0.250], [0.979, 0.989, 0.750], [0.108, 0.283, 0.318], [0.248, 0.825, 0.202], [0.752, 0.175, 0.798], [0.892, 0.717, 0.682], [0.207, 0.306, 0.820], [0.341, 0.806, 0.702], [0.659, 0.194, 0.298], [0.793, 0.694, 0.180]]}

3) {"formula": "PtN2Cl2", "functional": "PBE-GGA", "state": "optimized geometry", "crystal_system": "monoclinic", "spacegroup": "No. 14", "cell": [[6.661, 0.000, 0.000], [0.000, 4.411, 0.000], [-1.887, 0.000, 8.581]], "species": ["Pt", "Pt", "N", "N", "N", "N", "Cl", "Cl", "Cl", "Cl"], "fractional_positions": [[0.000, 0.000, 0.000], [0.000, 0.500, 0.500], [0.224, 0.246, 0.094], [0.224, 0.254, 0.594], [0.776, 0.746, 0.406], [0.776, 0.754, 0.906], [0.256, 0.618, 0.103], [0.256, 0.882, 0.603], [0.744, 0.118, 0.397], [0.744, 0.382, 0.897]]}

4) {"formula": "PtN2Cl2", "functional": "PBE-GGA", "state": "optimized geometry", "crystal_system": "triclinic", "spacegroup": "No. 2", "cell": [[6.014, 0.000, 0.000], [-0.800, 6.146, 0.000], [-1.612, -3.252, 6.361]], "species": ["Pt", "Pt", "N", "N", "N", "N", "Cl", "Cl", "Cl", "Cl"], "fractional_positions": [[0.000, 0.000, 0.000], [0.000, 0.500, 0.500], [0.004, 0.256, 0.244], [0.270, 0.743, 0.515], [0.730, 0.257, 0.485], [0.996, 0.744, 0.756], [0.303, 0.740, 0.302], [0.320, 0.232, 0.969], [0.680, 0.768, 0.031], [0.697, 0.260, 0.698]]}

Most favorable structure: 4). The second most favorable one is 11.7 kJ/mol of atoms above it.